Record 1
Computed, not measured: an optimized crystal structure of PrNi2B2C at the r2SCAN level of DFT.

Calculated values
mass density = 7.1 g/cm³
ΔE_f = -469.4 meV/atom

abc: 3.713 3.713 9.920
angles: 90.00 90.00 90.00
Space group I4/mmm (No. 139)
Symmetry-distinct sites (fractional):
Pr (0.000, 0.000, 0.000)
Ni (0.000, 0.500, 0.250)
B (0.000, 0.000, 0.349)
C (0.000, 0.000, 0.500)

Record 2
Computed, not measured: an optimized crystal structure of YbNi2B2C at the r2SCAN level of DFT.

Calculated values
mass density = 8.6 g/cm³
ΔE_f = -581.8 meV/atom

abc: 3.450 3.450 10.532
angles: 90.00 90.00 90.00
Space group I4/mmm (No. 139)
Symmetry-distinct sites (fractional):
Yb (0.000, 0.000, 0.000)
Ni (0.000, 0.500, 0.250)
B (0.000, 0.000, 0.359)
C (0.000, 0.000, 0.500)

Record 3
Computed, not measured: an optimized crystal structure of Pr2BC at the r2SCAN level of DFT.

Calculated values
mass density = 5.6 g/cm³
ΔE_f = -374.4 meV/atom

abc: 13.586 3.716 9.653
angles: 90.00 131.62 90.00
Space group C2/m (No. 12)
Symmetry-distinct sites (fractional):
Pr (0.057, 0.000, 0.358)
Pr (0.210, 0.500, 0.121)
B (0.073, 0.500, 0.607)
C (0.127, 0.500, 0.802)

Record 4
Computed, not measured: an optimized crystal structure of PuB2C at the r2SCAN level of DFT.

Calculated values
mass density = 10.1 g/cm³
ΔE_f = -547.4 meV/atom

abc: 6.5881 6.5881 10.9210
angles: 90.00 90.00 120.00
Space group R-3m (No. 166, hexagonal axes)
Symmetry-distinct sites (fractional):
Pu (0.0000, 0.0000, 0.0000)
Pu (0.0000, 0.0000, 0.3119)
B (0.0000, 0.2738, 0.5000)
C (0.0000, 0.5000, 0.5000)

Record 5
Computed, not measured: an optimized crystal structure of Sc2BC2 at the r2SCAN level of DFT.

Calculated values
mass density = 3.5 g/cm³
ΔE_f = -693.3 meV/atom

abc: 3.340 3.340 10.669
angles: 90.00 90.00 90.00
Space group I4/mmm (No. 139)
Symmetry-distinct sites (fractional):
Sc (0.000, 0.000, 0.152)
B (0.000, 0.000, 0.500)
C (0.000, 0.000, 0.362)

Record 6
Computed, not measured: an optimized crystal structure of TbB2C2 at the r2SCAN level of DFT.

Calculated values
mass density = 6.6 g/cm³
ΔE_f = -549.1 meV/atom

abc: 5.337 5.337 3.604
angles: 90.00 90.00 90.00
Space group P4/mbm (No. 127)
Symmetry-distinct sites (fractional):
Tb (0.000, 0.000, 0.000)
B (0.137, 0.363, 0.500)
C (0.162, 0.662, 0.500)

Record 7
Computed, not measured: an optimized crystal structure of Tb2B4C at the r2SCAN level of DFT.

Calculated values
mass density = 7.5 g/cm³
ΔE_f = -649.3 meV/atom

abc: 3.283 6.586 7.612
angles: 90.00 90.00 90.00
Space group Immm (No. 71)
Symmetry-distinct sites (fractional):
Tb (0.000, 0.000, 0.234)
B (0.000, 0.274, 0.500)
B (0.000, 0.366, 0.000)
C (0.000, 0.500, 0.500)

Record 8
Computed, not measured: an optimized crystal structure of ThB2C at the r2SCAN level of DFT.

Calculated values
mass density = 8.9 g/cm³
ΔE_f = -591.6 meV/atom

abc: 6.7011 6.7011 11.4853
angles: 90.00 90.00 120.00
Space group R-3m (No. 166, hexagonal axes)
Symmetry-distinct sites (fractional):
Th (0.0000, 0.0000, 0.0000)
Th (0.0000, 0.0000, 0.3155)
B (0.0000, 0.2764, 0.5000)
C (0.0000, 0.5000, 0.5000)